Entry 1:
Computed, not measured: SmSbRh after structural relaxation at the r²SCAN level of DFT.

abc: 7.323 4.596 7.846
angles: 90.00 90.00 90.00
Fractional coordinates of all 12 atoms:
Sm1 0.012 0.250 0.200
Sm2 0.488 0.750 0.700
Sm3 0.512 0.250 0.300
Sm4 0.988 0.750 0.800
Sb1 0.190 0.250 0.591
Sb2 0.310 0.750 0.091
Sb3 0.690 0.250 0.909
Sb4 0.810 0.750 0.409
Rh1 0.194 0.750 0.417
Rh2 0.306 0.250 0.917
Rh3 0.694 0.750 0.083
Rh4 0.806 0.250 0.583

Computed properties:
Total DFT energy (no corrections) ... -331.57 eV for the cell shown
Total moment ... 0.00 μB/atom
Formation energy from the elements ... -1106 meV per atom

Entry 2:
Computed, not measured: HfScTc2 after structural relaxation at the r²SCAN level of DFT.

abc: 4.580 4.580 4.580
angles: 60.00 60.00 60.00
Fractional coordinates of all 4 atoms:
Hf1 0.000 0.000 0.000
Sc1 0.500 0.500 0.500
Tc1 0.250 0.250 0.250
Tc2 0.750 0.750 0.750

Computed properties:
Total DFT energy (no corrections) ... -109.56 eV for the cell shown
Total moment ... 0.00 μB/atom
Formation energy from the elements ... -270 meV per atom

Entry 3:
Computed, not measured: AlPt2 after structural relaxation at the r²SCAN level of DFT.

abc: 5.413 4.077 7.944
angles: 90.00 90.00 90.00
Fractional coordinates of all 12 atoms:
Al1 0.188 0.250 0.103
Al2 0.312 0.750 0.603
Al3 0.688 0.250 0.397
Al4 0.812 0.750 0.897
Pt1 0.045 0.250 0.791
Pt2 0.159 0.250 0.431
Pt3 0.341 0.750 0.931
Pt4 0.455 0.750 0.291
Pt5 0.545 0.250 0.709
Pt6 0.659 0.250 0.069
Pt7 0.841 0.750 0.569
Pt8 0.955 0.750 0.209

Computed properties:
Total DFT energy (no corrections) ... -449.89 eV for the cell shown
Total moment ... 0.00 μB/atom
Formation energy from the elements ... -922 meV per atom

Calculated density per entry: 9.43 10.25 15.81 g cm⁻³